[1]
Li8Mn7FeB8O24 | PBE+U | optimized geometry

Structure (POSCAR):
```
Li8Mn7FeB8O24
1.0
5.2462 0.0000 0.0000
-2.6117 4.5570 0.0000
-0.3265 -0.6731 20.9923
Li Mn Fe B O
8 7 1 8 24
Direct
0.0000 0.0000 0.0000 Li
0.9997 0.0001 0.5002 Li
0.0100 0.9897 0.2501 Li
0.0131 0.9903 0.7501 Li
0.6695 0.6858 0.8753 Li
0.6696 0.6875 0.3750 Li
0.6975 0.6594 0.1250 Li
0.6975 0.6595 0.6252 Li
0.0236 0.3363 0.6433 Mn
0.0256 0.3354 0.1424 Mn
0.3445 0.6673 0.5176 Mn
0.3455 0.0150 0.3925 Mn
0.3446 0.6677 0.0172 Mn
0.3477 0.0173 0.8917 Mn
0.6772 0.3346 0.2674 Mn
0.6733 0.3385 0.7675 Fe
0.0070 0.3413 0.3961 B
0.0075 0.3419 0.8954 B
0.3422 0.6698 0.7709 B
0.3437 0.6727 0.2711 B
0.3512 0.9968 0.1460 B
0.3511 0.9979 0.6469 B
0.6827 0.3335 0.0210 B
0.6829 0.3335 0.5212 B
0.0762 0.9674 0.1533 O
0.0761 0.9688 0.6537 O
0.0936 0.4071 0.7517 O
0.1012 0.4084 0.2500 O
0.2783 0.5918 0.4112 O
0.2785 0.5926 0.9107 O
0.3104 0.9158 0.2864 O
0.3221 0.9203 0.7853 O
0.3814 0.7600 0.6261 O
0.3819 0.7594 0.1255 O
0.4185 0.0911 0.9999 O
0.4185 0.0909 0.5001 O
0.6013 0.2686 0.6623 O
0.6017 0.2684 0.1611 O
0.6147 0.6870 0.7772 O
0.6175 0.6975 0.2784 O
0.7074 0.6072 0.5285 O
0.7075 0.6073 0.0283 O
0.7694 0.3717 0.3755 O
0.7700 0.3717 0.8749 O
0.9261 0.3007 0.0363 O
0.9260 0.3008 0.5366 O
0.9774 0.0666 0.4033 O
0.9782 0.0670 0.9027 O
```

Output
ΔE_f, eV/f.u.: -119.3
Volume, Å³ per cell: 501.9
Total energy, eV per atom: -7.269



[2]
Li4Mn3FeB4O12 | PBE+U | optimized geometry

Structure (POSCAR):
```
Li4Mn3FeB4O12
1.0
5.2829 0.0000 0.0000
0.1388 6.2470 0.0000
0.2693 1.7103 7.7710
Li Mn Fe B O
4 3 1 4 12
Direct
0.0000 0.0000 0.0000 Li
0.1326 0.7380 0.6043 Li
0.4993 0.4999 0.5005 Li
0.6334 0.2397 0.1054 Li
0.1364 0.4613 0.9796 Mn
0.4956 0.7799 0.1265 Mn
0.6404 0.9604 0.4799 Mn
0.9992 0.2771 0.6294 Fe
0.1402 0.1072 0.3051 B
0.4978 0.1348 0.7986 B
0.6389 0.6051 0.8037 B
0.9936 0.6311 0.3028 B
0.0322 0.0318 0.4703 O
0.1025 0.7098 0.1376 O
0.1430 0.5299 0.4366 O
0.2365 0.1644 0.8225 O
0.3982 0.0732 0.2767 O
0.4868 0.7051 0.6704 O
0.5306 0.5279 0.9690 O
0.6111 0.2146 0.6357 O
0.6441 0.0358 0.9349 O
0.7355 0.6664 0.3300 O
0.8972 0.5725 0.7755 O
0.9884 0.2036 0.1700 O
```

Output
ΔE_f, eV/f.u.: -59.1
Volume, Å³ per cell: 256.5
Total energy, eV per atom: -7.219
Relative energy among the computed polymorphs, meV per atom: 2



[3]
Li6MnFe5B6O18 | PBE+U | optimized geometry

Structure (POSCAR):
```
Li6MnFe5B6O18
1.0
8.2436 0.0000 0.0000
4.1206 7.1412 0.0000
0.0373 0.0329 12.5571
Li Mn Fe B O
12 2 10 12 36
Direct
0.0000 0.0000 0.0000 Li
0.9998 0.9997 0.2493 Li
0.9996 0.0008 0.4996 Li
0.0004 0.0009 0.7506 Li
0.3164 0.4126 0.9999 Li
0.3163 0.4132 0.7501 Li
0.3173 0.4130 0.2493 Li
0.3168 0.4136 0.4992 Li
0.7279 0.6843 0.5008 Li
0.7285 0.6852 0.2490 Li
0.7292 0.6840 0.9997 Li
0.7295 0.6838 0.7501 Li
0.0276 0.3257 0.6245 Mn
0.3764 0.7113 0.3751 Mn
0.0218 0.3332 0.3728 Fe
0.0229 0.3298 0.8757 Fe
0.0229 0.3310 0.1240 Fe
0.3743 0.7064 0.6267 Fe
0.3750 0.7060 0.8757 Fe
0.3767 0.7065 0.1242 Fe
0.6480 0.0591 0.1243 Fe
0.6483 0.0590 0.8745 Fe
0.6490 0.0580 0.3747 Fe
0.6492 0.0584 0.6248 Fe
0.0137 0.7012 0.6251 B
0.0150 0.6972 0.3746 B
0.0152 0.6990 0.8751 B
0.0155 0.6989 0.1246 B
0.3484 0.0324 0.9999 B
0.3482 0.0343 0.2484 B
0.3489 0.0334 0.4998 B
0.3501 0.0317 0.7514 B
0.6813 0.3658 0.7518 B
0.6821 0.3651 0.0000 B
0.6819 0.3648 0.4999 B
0.6834 0.3645 0.2480 B
0.2082 0.5860 0.3743 O
0.2082 0.5904 0.6250 O
0.2096 0.5903 0.1234 O
0.2097 0.5895 0.8743 O
0.2331 0.2264 0.0000 O
0.2335 0.2279 0.2482 O
0.2353 0.2259 0.7515 O
0.2348 0.2273 0.4972 O
0.2681 0.9199 0.5021 O
0.2687 0.9194 0.2485 O
0.2696 0.9171 0.9998 O
0.2701 0.9176 0.7514 O
0.5425 0.9537 0.9997 O
0.5425 0.9541 0.2495 O
0.5429 0.9536 0.5001 O
0.5439 0.9533 0.7498 O
0.5741 0.5588 0.5027 O
0.5740 0.5599 0.7505 O
0.5748 0.5594 0.9985 O
0.5759 0.5590 0.2464 O
0.5953 0.2568 0.4997 O
0.5947 0.2579 0.9997 O
0.5948 0.2581 0.7499 O
0.5960 0.2575 0.2498 O
0.8762 0.2779 0.0016 O
0.8755 0.2787 0.4973 O
0.8757 0.2788 0.7536 O
0.8772 0.2779 0.2491 O
0.9021 0.6155 0.3746 O
0.9022 0.6193 0.6246 O
0.9061 0.6140 0.1252 O
0.9061 0.6141 0.8758 O
0.9300 0.8935 0.1251 O
0.9306 0.8934 0.8754 O
0.9317 0.8920 0.3752 O
0.9318 0.8959 0.6256 O
```

Output
ΔE_f, eV/f.u.: -84.9
Volume, Å³ per cell: 739.2
Total energy, eV per atom: -6.990



[4]
Li6Mn5FeB6O18 | PBE+U | optimized geometry

Structure (POSCAR):
```
Li6Mn5FeB6O18
1.0
8.2727 -3.1883 0.0000
8.2727 3.1883 0.0000
-4.1197 0.0000 7.1597
Li Mn Fe B O
6 5 1 6 18
Direct
0.0902 0.5913 0.4158 Li
0.2494 0.7506 0.0000 Li
0.3835 0.8831 0.6814 Li
0.5913 0.0902 0.4158 Li
0.7506 0.2494 0.0000 Li
0.8831 0.3835 0.6814 Li
0.1776 0.1776 0.0589 Mn
0.3120 0.3120 0.7112 Mn
0.4854 0.4854 0.3277 Mn
0.6771 0.6771 0.0584 Mn
0.9855 0.9855 0.3267 Mn
0.8113 0.8113 0.7075 Fe
0.0735 0.5760 0.0309 B
0.4106 0.9067 0.3666 B
0.4916 0.4916 0.6991 B
0.5760 0.0735 0.0309 B
0.9067 0.4106 0.3666 B
0.9913 0.9913 0.7008 B
0.0312 0.0312 0.8942 O
0.0479 0.0479 0.6199 O
0.1133 0.6179 0.9189 O
0.1302 0.6305 0.2250 O
0.3122 0.8118 0.2807 O
0.3949 0.3949 0.5832 O
0.4515 0.9515 0.2586 O
0.4665 0.9586 0.5604 O
0.4783 0.9776 0.9492 O
0.5304 0.5304 0.8927 O
0.5494 0.5494 0.6211 O
0.6179 0.1133 0.9189 O
0.6305 0.1302 0.2250 O
0.8118 0.3122 0.2807 O
0.8942 0.8942 0.5883 O
0.9515 0.4515 0.2586 O
0.9586 0.4665 0.5604 O
0.9776 0.4783 0.9492 O
```

Output
ΔE_f, eV/f.u.: -89.3
Volume, Å³ per cell: 377.7
Total energy, eV per atom: -7.256



[5]
Li4Mn3FeB4O12 | PBE+U | optimized geometry

Structure (POSCAR):
```
Li4Mn3FeB4O12
1.0
5.2586 0.0000 0.0000
0.0426 9.0838 0.0000
0.2064 0.2838 10.4798
Li Mn Fe B O
8 6 2 8 24
Direct
0.0000 0.0000 0.0000 Li
0.0154 0.9938 0.4998 Li
0.3248 0.3427 0.2506 Li
0.3667 0.3289 0.7503 Li
0.5002 0.4998 0.9994 Li
0.5154 0.4941 0.4995 Li
0.8259 0.8425 0.2495 Li
0.8657 0.8291 0.7497 Li
0.0099 0.3325 0.9675 Mn
0.0095 0.6653 0.4644 Mn
0.3390 0.0069 0.2132 Mn
0.3566 0.6677 0.7162 Mn
0.5100 0.1666 0.4653 Mn
0.8566 0.1669 0.7154 Mn
0.5171 0.8310 0.9645 Fe
0.8329 0.5092 0.2151 Fe
0.0061 0.3356 0.4570 B
0.0131 0.6677 0.9602 B
0.3391 0.6681 0.2065 B
0.3526 0.9977 0.7090 B
0.5064 0.8353 0.4575 B
0.5154 0.1643 0.9575 B
0.8362 0.1712 0.2087 B
0.8529 0.4979 0.7086 B
0.0024 0.3791 0.7498 O
0.0846 0.6795 0.2458 O
0.0930 0.9822 0.6942 O
0.2675 0.3485 0.4434 O
0.2733 0.6548 0.9306 O
0.3517 0.9570 0.4267 O
0.3739 0.0413 0.9979 O
0.3959 0.7029 0.4998 O
0.4022 0.3017 0.9444 O
0.4531 0.5305 0.1945 O
0.4668 0.1336 0.6780 O
0.4818 0.7943 0.1766 O
0.5020 0.8790 0.7506 O
0.5827 0.1852 0.2489 O
0.5929 0.4829 0.6943 O
0.7678 0.8477 0.4429 O
0.7755 0.1493 0.9275 O
0.8512 0.4569 0.4257 O
0.8726 0.5452 0.0009 O
0.8958 0.8043 0.9450 O
0.8967 0.2031 0.5000 O
0.9454 0.0335 0.1933 O
0.9674 0.6339 0.6782 O
0.9807 0.2978 0.1799 O
```

Output
ΔE_f, eV/f.u.: -59.1
Volume, Å³ per cell: 500.6
Total energy, eV per atom: -7.221
Relative energy among the computed polymorphs, meV per atom: 0



[6]
Li2MnFeB2O6 | PBE+U | optimized geometry

Structure (POSCAR):
```
Li2MnFeB2O6
1.0
5.2341 0.0000 0.0000
2.6091 4.5536 0.0000
0.2500 0.5913 20.7982
Li Mn Fe B O
8 4 4 8 24
Direct
0.0000 0.0000 0.0000 Li
0.9996 0.0026 0.4996 Li
0.0101 0.3174 0.3751 Li
0.0135 0.3148 0.8748 Li
0.9638 0.3400 0.6243 Li
0.9671 0.3372 0.1245 Li
0.9710 0.0120 0.2510 Li
0.9732 0.0118 0.7497 Li
0.3120 0.6646 0.6420 Mn
0.3222 0.3366 0.0176 Mn
0.6632 0.9874 0.3902 Mn
0.6661 0.9856 0.8908 Mn
0.3036 0.6704 0.1430 Fe
0.3362 0.3263 0.5169 Fe
0.6587 0.6612 0.2656 Fe
0.6602 0.6588 0.7657 Fe
0.3192 0.3349 0.2693 B
0.3246 0.3330 0.7699 B
0.3292 0.6596 0.3950 B
0.3328 0.6587 0.8946 B
0.6448 0.0030 0.6456 B
0.6493 0.6673 0.5202 B
0.6497 0.9997 0.1463 B
0.6497 0.6696 0.0215 B
0.0646 0.3164 0.2763 O
0.0688 0.3159 0.7763 O
0.0831 0.9353 0.4018 O
0.0875 0.9341 0.9018 O
0.3042 0.5996 0.2507 O
0.3062 0.5983 0.7504 O
0.3079 0.4090 0.4102 O
0.3112 0.4084 0.9103 O
0.3734 0.6942 0.5345 O
0.3738 0.7026 0.0373 O
0.3761 0.2397 0.6252 O
0.3847 0.2454 0.1275 O
0.5901 0.0844 0.2834 O
0.5961 0.0840 0.7842 O
0.5973 0.6301 0.3745 O
0.6011 0.6275 0.8739 O
0.6637 0.9164 0.5003 O
0.6656 0.7291 0.1600 O
0.6673 0.7303 0.6609 O
0.6709 0.9125 0.9997 O
0.8920 0.0321 0.6520 O
0.8990 0.3950 0.0283 O
0.9018 0.0229 0.1527 O
0.9051 0.3980 0.5269 O
```

Output
ΔE_f, eV/f.u.: -29.0
Volume, Å³ per cell: 495.7
Total energy, eV per atom: -7.122
Relative energy among the computed polymorphs, meV per atom: 2



[7]
Li2MnFeB2O6 | PBE+U | optimized geometry

Structure (POSCAR):
```
Li2MnFeB2O6
1.0
8.2643 0.0000 0.0000
0.0000 3.1619 0.0000
-0.0037 0.0000 14.3136
Li Mn Fe B O
6 3 3 6 18
Direct
0.0000 0.0000 0.0000 Li
0.0253 0.0000 0.7061 Li
0.0748 0.0000 0.3376 Li
0.5018 0.0000 0.4976 Li
0.5274 0.0000 0.2058 Li
0.5744 0.0000 0.8415 Li
0.1753 0.5000 0.5279 Mn
0.2331 0.5000 0.8545 Mn
0.6930 0.5000 0.6622 Mn
0.1916 0.5000 0.1644 Fe
0.6804 0.5000 0.0280 Fe
0.7309 0.5000 0.3515 Fe
0.3671 0.0000 0.6814 B
0.3677 0.0000 0.0167 B
0.3693 0.5000 0.3475 B
0.8654 0.5000 0.8486 B
0.8673 0.0000 0.1816 B
0.8670 0.0000 0.5127 B
0.0027 0.5000 0.7919 O
0.0197 0.0000 0.1398 O
0.0201 0.0000 0.4721 O
0.2167 0.5000 0.3057 O
0.2260 0.0000 0.6286 O
0.2305 0.0000 0.9598 O
0.3493 0.0000 0.1134 O
0.3583 0.0000 0.7784 O
0.3837 0.5000 0.4443 O
0.5078 0.5000 0.2921 O
0.5167 0.0000 0.6372 O
0.5216 0.0000 0.9768 O
0.7120 0.5000 0.8086 O
0.7285 0.0000 0.1264 O
0.7296 0.0000 0.4565 O
0.8527 0.0000 0.6099 O
0.8544 0.0000 0.2785 O
0.8812 0.5000 0.9457 O
```

Output
ΔE_f, eV/f.u.: -29.0
Volume, Å³ per cell: 374.0
Total energy, eV per atom: -7.123
Relative energy among the computed polymorphs, meV per atom: 2



[8]
Li4Mn3FeB4O12 | PBE+U | optimized geometry

Structure (POSCAR):
```
Li4Mn3FeB4O12
1.0
5.2485 0.0000 0.0000
0.0498 6.0164 0.0000
0.1908 2.2567 16.1416
Li Mn Fe B O
8 6 2 8 24
Direct
0.1487 0.4363 0.1094 Li
0.1522 0.9354 0.6102 Li
0.3477 0.3151 0.6411 Li
0.3486 0.8179 0.1384 Li
0.6514 0.1821 0.8616 Li
0.6523 0.6849 0.3589 Li
0.8478 0.0646 0.3898 Li
0.8513 0.5637 0.8906 Li
0.1681 0.5272 0.2891 Mn
0.1705 0.0201 0.7913 Mn
0.3306 0.2240 0.4605 Mn
0.6694 0.7760 0.5395 Mn
0.8295 0.9799 0.2087 Mn
0.8319 0.4728 0.7109 Mn
0.3305 0.7225 0.9627 Fe
0.6695 0.2775 0.0373 Fe
0.1698 0.7152 0.4519 B
0.1726 0.2126 0.9551 B
0.3296 0.0353 0.2971 B
0.3330 0.5324 0.7996 B
0.6670 0.4676 0.2004 B
0.6704 0.9647 0.7029 B
0.8274 0.7874 0.0449 B
0.8302 0.2848 0.5481 B
0.0880 0.7646 0.0572 O
0.0892 0.2638 0.5621 O
0.1804 0.1689 0.3436 O
0.1853 0.6650 0.8467 O
0.2120 0.9197 0.2395 O
0.2149 0.4191 0.7415 O
0.2860 0.8325 0.5093 O
0.2933 0.3292 0.0117 O
0.3164 0.0786 0.9078 O
0.3200 0.5815 0.4059 O
0.4079 0.4900 0.1872 O
0.4113 0.9868 0.6892 O
0.5887 0.0132 0.3108 O
0.5921 0.5100 0.8128 O
0.6800 0.4185 0.5941 O
0.6836 0.9214 0.0922 O
0.7067 0.6708 0.9883 O
0.7140 0.1675 0.4907 O
0.7851 0.5809 0.2585 O
0.7880 0.0803 0.7605 O
0.8147 0.3350 0.1533 O
0.8196 0.8311 0.6564 O
0.9108 0.7362 0.4379 O
0.9120 0.2354 0.9428 O
```

Output
ΔE_f, eV/f.u.: -59.1
Volume, Å³ per cell: 509.7
Total energy, eV per atom: -7.220
Relative energy among the computed polymorphs, meV per atom: 2



Question: What is the ΔE_f in the fifth record?
Answer: -59.1 eV/f.u.